No. 1
{"formula": "Ho4CdNi", "functional": "PBE", "state": "optimized geometry", "cell": [[0.0000, 6.7180, 6.7180], [6.7180, 0.0000, 6.7180], [6.7180, 6.7180, 0.0000]], "species": ["Ho", "Ho", "Ho", "Ho", "Ho", "Ho", "Ho", "Ho", "Ho", "Ho", "Ho", "Ho", "Ho", "Ho", "Ho", "Ho", "Ni", "Ni", "Ni", "Ni", "Cd", "Cd", "Cd", "Cd"], "fractional_positions": [[0.9367, 0.5633, 0.5633], [0.3492, 0.3492, 0.3492], [0.5633, 0.9367, 0.9367], [0.9367, 0.9367, 0.5633], [0.9367, 0.5633, 0.9367], [0.1891, 0.8109, 0.8109], [0.5633, 0.5633, 0.9367], [0.1891, 0.8109, 0.1891], [0.3492, 0.3492, 0.9524], [0.3492, 0.9524, 0.3492], [0.8109, 0.1891, 0.1891], [0.1891, 0.1891, 0.8109], [0.8109, 0.8109, 0.1891], [0.8109, 0.1891, 0.8109], [0.9524, 0.3492, 0.3492], [0.5633, 0.9367, 0.5633], [0.1425, 0.1425, 0.5725], [0.5725, 0.1425, 0.1425], [0.1425, 0.5725, 0.1425], [0.1425, 0.1425, 0.1425], [0.5817, 0.2550, 0.5817], [0.5817, 0.5817, 0.2550], [0.5817, 0.5817, 0.5817], [0.2550, 0.5817, 0.5817]], "ef_ev_per_atom": -0.30}

=====

No. 2
{"formula": "CoPtBr4N5Cl", "functional": "PBE", "state": "optimized geometry", "cell": [[-6.4515, -3.1806, -5.8735], [3.5987, -8.5727, 0.6896], [-11.1205, -3.5318, 14.1274]], "species": ["Br", "Br", "Br", "Br", "Br", "Br", "Br", "Br", "Br", "Br", "Br", "Br", "Br", "Br", "Br", "Br", "N", "N", "N", "N", "N", "N", "N", "N", "N", "N", "N", "N", "N", "N", "N", "N", "N", "N", "N", "N", "Pt", "Pt", "Pt", "Pt", "Co", "Co", "Co", "Co", "Cl", "Cl", "Cl", "Cl"], "fractional_positions": [[0.0831, 0.4796, 0.6970], [0.1849, 0.7500, 0.5663], [0.7421, 0.2500, 0.2118], [0.7579, 0.2500, 0.7118], [0.5831, 0.9796, 0.8030], [0.4169, 0.0204, 0.1970], [0.8151, 0.2500, 0.4337], [0.4169, 0.4796, 0.1970], [0.6849, 0.2500, 0.9337], [0.5831, 0.5204, 0.8030], [0.9169, 0.5204, 0.3030], [0.0831, 0.0204, 0.6970], [0.2421, 0.7500, 0.2882], [0.2579, 0.7500, 0.7882], [0.3151, 0.7500, 0.0663], [0.9169, 0.9796, 0.3030], [0.7553, 0.6902, 0.5028], [0.7447, 0.8098, 0.0028], [0.4126, 0.4083, 0.2941], [0.2447, 0.3098, 0.4972], [0.4126, 0.0917, 0.2941], [0.5874, 0.5917, 0.7059], [0.6437, 0.7500, 0.1865], [0.1437, 0.2500, 0.3135], [0.7553, 0.8098, 0.5028], [0.2553, 0.3098, 0.9972], [0.2553, 0.1902, 0.9972], [0.5874, 0.9083, 0.7059], [0.0874, 0.0917, 0.7941], [0.0874, 0.4083, 0.7941], [0.9126, 0.5917, 0.2059], [0.7447, 0.6902, 0.0028], [0.9126, 0.9083, 0.2059], [0.3563, 0.2500, 0.8135], [0.8563, 0.7500, 0.6865], [0.2447, 0.1902, 0.4972], [0.0526, 0.7500, 0.7064], [0.5526, 0.2500, 0.7936], [0.9474, 0.2500, 0.2936], [0.4474, 0.7500, 0.2064], [0.3177, 0.2500, 0.3005], [0.8177, 0.7500, 0.1995], [0.1823, 0.2500, 0.8005], [0.6823, 0.7500, 0.6995], [0.6546, 0.2500, 0.5256], [0.3454, 0.7500, 0.4744], [0.8454, 0.2500, 0.0256], [0.1546, 0.7500, 0.9744]], "energy_corrected_mp2020_ev_per_atom": -4.7387, "ef_ev_per_atom": 0.53}

=====

No. 3
{"formula": "SmIn3", "functional": "PBE", "state": "optimized geometry", "cell": [[4.6809, 0.0000, 0.0000], [0.0000, 4.6809, 0.0000], [0.0000, 0.0000, 4.6809]], "species": ["In", "In", "In", "Sm"], "fractional_positions": [[0.5000, 0.5000, 0.0000], [0.5000, 0.0000, 0.5000], [0.0000, 0.5000, 0.5000], [0.0000, 0.0000, 0.0000]], "ef_ev_per_atom": -0.45}

=====

No. 4
{"formula": "SrEu3", "functional": "PBE", "state": "optimized geometry", "cell": [[4.0221, -6.9664, 0.0000], [4.0221, 6.9664, 0.0000], [0.0000, 0.0000, 6.5569]], "species": ["Eu", "Eu", "Eu", "Eu", "Eu", "Eu", "Sr", "Sr"], "fractional_positions": [[0.8355, 0.1645, 0.7500], [0.8355, 0.6709, 0.7500], [0.1645, 0.8355, 0.2500], [0.1645, 0.3291, 0.2500], [0.3291, 0.1645, 0.7500], [0.6709, 0.8355, 0.2500], [0.6667, 0.3333, 0.2500], [0.3333, 0.6667, 0.7500]], "ef_ev_per_atom": 0.03}

=====

No. 5
{"formula": "K2RbIrF6", "functional": "PBE", "state": "optimized geometry", "cell": [[-1.0824, 4.0862, 5.0218], [-6.1480, 1.4421, 1.7914], [-2.3990, -2.3132, 5.6552]], "species": ["K", "K", "F", "F", "F", "F", "F", "F", "Rb", "Ir"], "fractional_positions": [[0.7500, 0.7500, 0.7500], [0.2500, 0.2500, 0.2500], [0.2190, 0.7810, 0.7810], [0.2190, 0.7810, 0.2190], [0.2190, 0.2190, 0.7810], [0.7810, 0.2190, 0.2190], [0.7810, 0.7810, 0.2190], [0.7810, 0.2190, 0.7810], [0.5000, 0.5000, 0.5000], [0.0000, 0.0000, 0.0000]], "energy_corrected_mp2020_ev_per_atom": -4.8254, "ef_ev_per_atom": -2.47}

=====

No. 6
{"formula": "Nb3SnH2", "functional": "PBE", "state": "optimized geometry", "cell": [[3.8519, -3.8654, 0.0000], [3.8519, 3.8654, 0.0000], [0.0000, 0.0000, 5.4648]], "species": ["H", "H", "H", "H", "Nb", "Nb", "Nb", "Nb", "Nb", "Nb", "Sn", "Sn"], "fractional_positions": [[0.2513, 0.5003, 0.2500], [0.5003, 0.2513, 0.7500], [0.9997, 0.9997, 0.0000], [0.9997, 0.9997, 0.5000], [0.7460, 0.9932, 0.7500], [0.5063, 0.5063, 0.5000], [0.5063, 0.5063, 0.0000], [0.9932, 0.7460, 0.2500], [0.2526, 0.9943, 0.7500], [0.9943, 0.2526, 0.2500], [0.5012, 0.9991, 0.2500], [0.9991, 0.5012, 0.7500]], "energy_corrected_mp2020_ev_per_atom": -7.1235, "ef_ev_per_atom": -0.27}

=====

No. 7
{"formula": "Li6Zn3P4S16", "functional": "PBE", "state": "optimized geometry", "cell": [[-2.7254, -8.9324, -0.4493], [-4.8714, 2.0229, -10.3375], [19.8482, -5.5463, -10.4574]], "species": ["P", "P", "P", "P", "P", "P", "P", "P", "P", "P", "P", "P", "P", "P", "P", "P", "S", "S", "S", "S", "S", "S", "S", "S", "S", "S", "S", "S", "S", "S", "S", "S", "S", "S", "S", "S", "S", "S", "S", "S", "S", "S", "S", "S", "S", "S", "S", "S", "S", "S", "S", "S", "S", "S", "S", "S", "S", "S", "S", "S", "S", "S", "S", "S", "S", "S", "S", "S", "S", "S", "S", "S", "S", "S", "S", "S", "S", "S", "S", "S", "Li", "Li", "Li", "Li", "Li", "Li", "Li", "Li", "Li", "Li", "Li", "Li", "Li", "Li", "Li", "Li", "Li", "Li", "Li", "Li", "Li", "Li", "Li", "Li", "Zn", "Zn", "Zn", "Zn", "Zn", "Zn", "Zn", "Zn", "Zn", "Zn", "Zn", "Zn"], "fractional_positions": [[0.2479, 0.5012, 0.8743], [0.2498, 0.0000, 0.3748], [0.2495, 0.9897, 0.8765], [0.2544, 0.9944, 0.6239], [0.7480, 0.2515, 0.9970], [0.7500, 0.2506, 0.5000], [0.7514, 0.7496, 0.2506], [0.2534, 0.5063, 0.1262], [0.2477, 0.5010, 0.6251], [0.7504, 0.2480, 0.7481], [0.7508, 0.2490, 0.2495], [0.7502, 0.7554, 0.0022], [0.2500, 0.4998, 0.3751], [0.2487, 0.0076, 0.1255], [0.7497, 0.7441, 0.7519], [0.7509, 0.7498, 0.4993], [0.1373, 0.3965, 0.6814], [0.3636, 0.6112, 0.4274], [0.8705, 0.8564, 0.0540], [0.3748, 0.1080, 0.1781], [0.1330, 0.6081, 0.0723], [0.6359, 0.8531, 0.4436], [0.6323, 0.8491, 0.6971], [0.8713, 0.1460, 0.6972], [0.6285, 0.1429, 0.0532], [0.3711, 0.6132, 0.1795], [0.6404, 0.8558, 0.1947], [0.8673, 0.8607, 0.3022], [0.8653, 0.1377, 0.1975], [0.1356, 0.6038, 0.3195], [0.8642, 0.3621, 0.5521], [0.3633, 0.8878, 0.3228], [0.6277, 0.6392, 0.8038], [0.6237, 0.6484, 0.0525], [0.6366, 0.1460, 0.3061], [0.1403, 0.8972, 0.1802], [0.3637, 0.1083, 0.6765], [0.3683, 0.6139, 0.6761], [0.6375, 0.3525, 0.1933], [0.8644, 0.1392, 0.4479], [0.3680, 0.6084, 0.9268], [0.6305, 0.1486, 0.8036], [0.1413, 0.1088, 0.0702], [0.1375, 0.0995, 0.5693], [0.6315, 0.3548, 0.6951], [0.1206, 0.4043, 0.9259], [0.8622, 0.6369, 0.1984], [0.6360, 0.3542, 0.4439], [0.1280, 0.8856, 0.9297], [0.8605, 0.3512, 0.0523], [0.8655, 0.1430, 0.9454], [0.6394, 0.6441, 0.5554], [0.6215, 0.3528, 0.9452], [0.6356, 0.6466, 0.3064], [0.8703, 0.6411, 0.6978], [0.6350, 0.1472, 0.5558], [0.3643, 0.3888, 0.3228], [0.8673, 0.8558, 0.8022], [0.3769, 0.8911, 0.8226], [0.1343, 0.8923, 0.6780], [0.3731, 0.8884, 0.5706], [0.3701, 0.8901, 0.0733], [0.1360, 0.3955, 0.4309], [0.1365, 0.4007, 0.1806], [0.1361, 0.1037, 0.3188], [0.3665, 0.3993, 0.8219], [0.8604, 0.6455, 0.9484], [0.1345, 0.6044, 0.5691], [0.3630, 0.3923, 0.0737], [0.6279, 0.8629, 0.9482], [0.3662, 0.3914, 0.5741], [0.3672, 0.0975, 0.9302], [0.3641, 0.1114, 0.4269], [0.1353, 0.8961, 0.4307], [0.1272, 0.6104, 0.8189], [0.1332, 0.0966, 0.8255], [0.8662, 0.6392, 0.4473], [0.8620, 0.8626, 0.5516], [0.8644, 0.3607, 0.3019], [0.8681, 0.3601, 0.8024], [0.0028, 0.7502, 0.3749], [0.9923, 0.7486, 0.8752], [0.5013, 0.4999, 0.4996], [0.5024, 0.7492, 0.8757], [0.2512, 0.7575, 0.7528], [0.0000, 0.0027, 0.0004], [0.4970, 0.4979, 0.7479], [0.2448, 0.7417, 0.9961], [0.0032, 0.2504, 0.6242], [0.9984, 0.7517, 0.6228], [0.9929, 0.4986, 0.0027], [0.0011, 0.2498, 0.3747], [0.5027, 0.0044, 0.7489], [0.7422, 0.4967, 0.8774], [0.4946, 0.4962, 0.9997], [0.5049, 0.9977, 0.2518], [0.0029, 0.0031, 0.7492], [0.7503, 0.0062, 0.8725], [0.4823, 0.2487, 0.8743], [0.0124, 0.2494, 0.8750], [0.5054, 0.0020, 0.4987], [0.5060, 0.4979, 0.2503], [0.9982, 0.7495, 0.1277], [0.0031, 0.2505, 0.1248], [0.4992, 0.2502, 0.3748], [0.4979, 0.7498, 0.3751], [0.9987, 0.4995, 0.4996], [0.0008, 0.9996, 0.2494], [0.5093, 0.7479, 0.1272], [0.5069, 0.7518, 0.6231], [0.9997, 0.5000, 0.2503], [0.4960, 0.2512, 0.1244], [0.4974, 0.0016, 0.0019], [0.4998, 0.2491, 0.6261], [0.9990, 0.4997, 0.7499], [0.9996, 0.0002, 0.4998]], "energy_corrected_mp2020_ev_per_atom": -4.5563, "ef_ev_per_atom": -1.00}

=====

No. 8
{"formula": "Sc44Os7", "functional": "PBE", "state": "optimized geometry", "cell": [[11.8504, -5.8752, -6.3821], [7.6463, -10.4536, 6.9237], [-0.3955, -13.8431, -4.8882]], "species": ["Os", "Os", "Os", "Os", "Os", "Os", "Os", "Os", "Os", "Os", "Os", "Os", "Os", "Os", "Sc", "Sc", "Sc", "Sc", "Sc", "Sc", "Sc", "Sc", "Sc", "Sc", "Sc", "Sc", "Sc", "Sc", "Sc", "Sc", "Sc", "Sc", "Sc", "Sc", "Sc", "Sc", "Sc", "Sc", "Sc", "Sc", "Sc", "Sc", "Sc", "Sc", "Sc", "Sc", "Sc", "Sc", "Sc", "Sc", "Sc", "Sc", "Sc", "Sc", "Sc", "Sc", "Sc", "Sc", "Sc", "Sc", "Sc", "Sc", "Sc", "Sc", "Sc", "Sc", "Sc", "Sc", "Sc", "Sc", "Sc", "Sc", "Sc", "Sc", "Sc", "Sc", "Sc", "Sc", "Sc", "Sc", "Sc", "Sc", "Sc", "Sc", "Sc", "Sc", "Sc", "Sc", "Sc", "Sc", "Sc", "Sc", "Sc", "Sc", "Sc", "Sc", "Sc", "Sc", "Sc", "Sc", "Sc", "Sc"], "fractional_positions": [[0.0903, 0.4097, 0.0903], [0.2432, 0.9189, 0.9189], [0.0903, 0.4097, 0.4097], [0.0903, 0.0903, 0.4097], [0.6504, 0.6504, 0.0487], [0.9189, 0.9189, 0.2432], [0.4097, 0.0903, 0.0903], [0.9189, 0.9189, 0.9189], [0.9189, 0.2432, 0.9189], [0.6504, 0.0487, 0.6504], [0.4097, 0.0903, 0.4097], [0.6504, 0.6504, 0.6504], [0.4097, 0.4097, 0.0903], [0.0487, 0.6504, 0.6504], [0.6634, 0.2232, 0.6634], [0.0215, 0.6588, 0.0215], [0.3090, 0.0731, 0.3090], [0.2848, 0.5371, 0.8934], [0.2848, 0.8934, 0.5371], [0.8291, 0.0570, 0.0570], [0.2848, 0.2848, 0.5371], [0.3090, 0.3090, 0.3090], [0.1637, 0.1637, 0.5088], [0.7886, 0.9979, 0.7886], [0.7886, 0.7886, 0.9979], [0.6431, 0.6431, 0.8569], [0.8934, 0.2848, 0.5371], [0.5371, 0.8934, 0.2848], [0.1637, 0.1637, 0.1637], [0.8792, 0.5146, 0.0917], [0.6431, 0.8569, 0.6431], [0.0215, 0.2982, 0.0215], [0.6588, 0.2982, 0.0215], [0.0215, 0.6588, 0.2982], [0.8792, 0.0917, 0.5146], [0.1893, 0.8107, 0.1893], [0.8792, 0.5146, 0.5146], [0.5146, 0.8792, 0.5146], [0.6634, 0.2232, 0.4501], [0.8569, 0.6431, 0.8569], [0.5146, 0.5146, 0.8792], [0.9979, 0.7886, 0.7886], [0.2232, 0.6634, 0.4501], [0.6634, 0.4501, 0.6634], [0.0570, 0.8291, 0.0570], [0.5371, 0.2848, 0.8934], [0.8107, 0.1893, 0.8107], [0.6634, 0.6634, 0.2232], [0.5371, 0.2848, 0.2848], [0.2848, 0.2848, 0.8934], [0.2982, 0.6588, 0.0215], [0.6634, 0.4501, 0.2232], [0.0917, 0.5146, 0.5146], [0.4501, 0.2232, 0.6634], [0.9979, 0.4249, 0.7886], [0.6634, 0.6634, 0.4501], [0.4249, 0.9979, 0.7886], [0.2982, 0.0215, 0.0215], [0.4405, 0.6784, 0.4405], [0.0917, 0.8792, 0.5146], [0.1893, 0.8107, 0.8107], [0.7886, 0.4249, 0.9979], [0.5146, 0.0917, 0.5146], [0.4249, 0.7886, 0.7886], [0.5146, 0.8792, 0.0917], [0.5146, 0.0917, 0.8792], [0.7886, 0.9979, 0.4249], [0.0570, 0.0570, 0.8291], [0.7886, 0.7886, 0.4249], [0.8569, 0.8569, 0.6431], [0.6588, 0.0215, 0.2982], [0.8934, 0.5371, 0.2848], [0.5088, 0.1637, 0.1637], [0.4501, 0.6634, 0.6634], [0.4405, 0.4405, 0.4405], [0.4249, 0.7886, 0.9979], [0.0215, 0.2982, 0.6588], [0.1893, 0.1893, 0.8107], [0.2982, 0.0215, 0.6588], [0.0917, 0.5146, 0.8792], [0.2232, 0.4501, 0.6634], [0.8107, 0.8107, 0.1893], [0.2848, 0.5371, 0.2848], [0.4405, 0.4405, 0.6784], [0.8107, 0.1893, 0.1893], [0.9979, 0.7886, 0.4249], [0.6431, 0.8569, 0.8569], [0.6588, 0.0215, 0.0215], [0.7886, 0.4249, 0.7886], [0.4501, 0.6634, 0.2232], [0.1637, 0.5088, 0.1637], [0.8934, 0.2848, 0.2848], [0.2232, 0.6634, 0.6634], [0.0215, 0.0215, 0.2982], [0.5146, 0.5146, 0.0917], [0.2848, 0.8934, 0.2848], [0.8569, 0.6431, 0.6431], [0.6784, 0.4405, 0.4405], [0.0731, 0.3090, 0.3090], [0.0215, 0.0215, 0.6588], [0.3090, 0.3090, 0.0731], [0.0570, 0.0570, 0.0570]], "ef_ev_per_atom": -0.20}